1.
MgCo6O2F10 | PBE+U | relaxed

a b c (Å): 5.1391 5.2959 9.8245
angles (deg): 93.84 91.67 99.03
With the nearest neighbours (Å) after each atom.
Fractional positions:
Mg  0.0000  0.0000  0.0000  6 F 1.98-2.02
Co  0.0295  0.5931  0.6444  1 O 1.91, 2 F 1.99-2.06
Co  0.4370  0.0480  0.4953  2 O 1.93-1.94, 1 F 2.07
Co  0.4795  0.1074  0.7847  1 O 1.85, 3 F 1.96-2.04
Co  0.5180  0.8783  0.2167  1 O 1.85, 3 F 1.95-2.03
Co  0.9501  0.4096  0.3500  1 O 1.92, 3 F 2.00-2.07
Co  0.9989  0.4996  0.9989  6 F 1.97-2.10
O  0.3304  0.8583  0.6520  3 Co 1.85-1.94
O  0.6425  0.1510  0.3418  3 Co 1.85-1.93
F  0.0766  0.2873  0.1477  2 Co 1.97-2.20, 1 Mg 2.01
F  0.1797  0.3116  0.5091  3 Co 2.07-2.18
F  0.1916  0.2608  0.8835  1 Mg 2.01, 2 Co 2.03-2.04
F  0.2518  0.7144  0.3335  2 Co 1.95-2.07
F  0.2967  0.8158  0.0394  1 Mg 1.98, 2 Co 2.03-2.09
F  0.7021  0.1814  0.9589  1 Mg 1.98, 2 Co 2.01-2.10
F  0.7256  0.2973  0.6648  2 Co 1.96-2.06
F  0.8068  0.7384  0.1158  1 Mg 2.01, 2 Co 2.02-2.04
F  0.8211  0.6643  0.4812  2 Co 1.99-2.00
F  0.9188  0.7137  0.8519  1 Co 1.97, 1 Mg 2.02

Computed properties:
Its formation energy is -2.064 eV/atom. The excess energy over the best structure of this formula in the dataset is 111 meV/atom. The total energy is -5.089 eV per atom. Its symmetry is P1. The value obtained for the total magnetization is 0.84 μB per atom.



2.
MgCo6O6F6 | PBE+U | relaxed

a b c (Å): 4.9620 5.0213 8.6221
angles (deg): 90.64 91.64 98.07
With the nearest neighbours (Å) after each atom.
Fractional positions:
Mg  0.0000  0.0000  0.0000  3 F 1.93-2.03, 2 O 2.03
Co  0.4155  0.1211  0.6443  3 O 1.87-1.97, 1 F 2.04
Co  0.4858  0.8136  0.9611  3 O 1.90-2.05, 1 F 1.98
Co  0.5297  0.9004  0.3234  3 O 1.96-2.04, 1 F 2.12
Co  0.9154  0.4496  0.8116  3 O 1.92-1.94, 2 F 1.96-2.13
Co  0.9417  0.4761  0.4818  3 O 1.86-1.92, 1 F 2.04
Co  0.9914  0.5177  0.1598  3 O 1.84-1.89, 3 F 1.87-2.06
O  0.1305  0.3288  0.6512  3 Co 1.87-1.92
O  0.2554  0.8244  0.1421  3 Co 1.89-2.04, 1 Mg 2.03
O  0.6562  0.1834  0.4802  3 Co 1.88-1.97
O  0.6671  0.1168  0.8255  3 Co 1.94-2.05
O  0.7880  0.6236  0.9892  3 Co 1.88-1.92, 1 Mg 2.03
O  0.7893  0.6395  0.3142  3 Co 1.84-1.96
F  0.1738  0.8417  0.8158  2 Co 1.98-2.19, 1 Mg 2.03
F  0.1962  0.3735  0.3157  2 Co 1.87-2.04
F  0.1984  0.3573  0.9861  1 Mg 1.93, 2 Co 2.06-2.13
F  0.2436  0.8137  0.5001  3 Co 2.04-2.12
F  0.7167  0.6307  0.6543  2 Co 1.96-2.09
F  0.7637  0.1438  0.1483  1 Mg 1.96, 1 Co 2.05

Computed properties:
Its formation energy is -1.714 eV/atom. The excess energy over the best structure of this formula in the dataset is 108 meV/atom. The total energy is -5.330 eV per atom. Its symmetry is P1. The value obtained for the total magnetization is 0.74 μB per atom.



3.
MgCo6O6F6 | PBE+U | relaxed

a b c (Å): 5.0679 5.1299 8.6252
angles (deg): 90.30 90.95 96.64
With the nearest neighbours (Å) after each atom.
Fractional positions:
Mg  0.0000  0.0000  0.0000  3 F 1.95-2.03, 2 O 1.99-2.15
Co  0.0873  0.5032  0.1920  3 O 1.85-1.96, 1 F 1.94
Co  0.1119  0.4972  0.8202  3 O 1.92-2.01, 1 F 2.06
Co  0.4718  0.0440  0.6677  3 O 1.91-1.98, 1 F 1.98
Co  0.4875  0.0273  0.0109  3 O 2.00-2.06, 3 F 2.04-2.17
Co  0.5393  0.1204  0.3362  3 O 1.91-1.96, 2 F 1.97-2.14
Co  0.9232  0.6575  0.5083  3 O 1.85-1.96
O  0.1892  0.7431  0.6550  3 Co 1.85-1.98
O  0.2135  0.6982  0.0168  3 Co 1.90-2.06, 1 Mg 1.99
O  0.2836  0.1716  0.8371  3 Co 1.91-2.00
O  0.3022  0.2104  0.1752  3 Co 1.91-2.00
O  0.6787  0.9186  0.5043  3 Co 1.92-1.96
O  0.8341  0.4030  0.3394  3 Co 1.85-1.96
F  0.2093  0.7762  0.3423  2 Co 1.94-2.10
F  0.3330  0.2615  0.5024  2 Co 1.97-1.98
F  0.7133  0.8795  0.8445  1 Mg 2.00, 2 Co 2.05-2.17
F  0.7413  0.9028  0.1726  1 Mg 2.03, 2 Co 2.04-2.14
F  0.7821  0.3900  0.6820  3 Co 2.06-2.23
F  0.8303  0.3228  0.0078  1 Mg 1.95, 2 Co 2.17

Computed properties:
Its formation energy is -1.732 eV/atom. The excess energy over the best structure of this formula in the dataset is 90 meV/atom. The total energy is -5.347 eV per atom. Its symmetry is P1. The value obtained for the total magnetization is 1.05 μB per atom.



4.
MgCo4O4F4 | PBE+U | relaxed

a b c (Å): 5.0743 5.1277 5.8137
angles (deg): 89.04 89.75 88.43
With the nearest neighbours (Å) after each atom.
Fractional positions:
Mg  0.0000  0.0000  0.0000  3 F 1.94-2.03, 3 O 2.02-2.13
Co  0.0999  0.5552  0.7314  3 O 2.00-2.05, 2 F 2.02-2.19
Co  0.4817  0.0890  0.9828  3 O 1.87-1.92, 1 F 1.98
Co  0.5413  0.9574  0.4847  3 O 2.05-2.07, 2 F 2.12-2.17
Co  0.9679  0.4626  0.2655  2 O 1.79-1.98
O  0.1942  0.3382  0.0102  3 Co 1.92-2.00, 1 Mg 2.02
O  0.3069  0.8853  0.7699  3 Co 1.87-2.07
O  0.7173  0.1586  0.2200  3 Co 1.87-2.06, 1 Mg 2.08
O  0.8254  0.6603  0.4871  1 Co 1.79
F  0.2508  0.3219  0.4843  2 Co 2.02-2.03
F  0.2634  0.8538  0.2334  1 Mg 2.03, 2 Co 2.12-2.19
F  0.7616  0.1471  0.7498  2 Co 1.98-2.17, 1 Mg 2.02
F  0.8081  0.6781  0.9900  1 Mg 1.94, 1 Co 2.08

Computed properties:
Its formation energy is -1.817 eV/atom. The total energy is -5.382 eV per atom. Its symmetry is P1. The value obtained for the total magnetization is 0.92 μB per atom.



5.
MgCo6O2F10 | PBE+U | relaxed

a b c (Å): 5.2037 5.2068 9.2419
angles (deg): 89.90 89.58 80.59
With the nearest neighbours (Å) after each atom.
Fractional positions:
Mg  0.0000  0.0000  0.0000  1 O 1.96, 5 F 1.97-2.15
Co  0.0043  0.5027  0.9960  1 O 1.98, 5 F 2.03-2.13
Co  0.0332  0.4450  0.6615  5 F 1.95-2.11
Co  0.0749  0.4015  0.3385  1 O 1.92, 3 F 2.03-2.15
Co  0.5110  0.9067  0.8267  1 O 1.95, 4 F 2.01-2.18
Co  0.5171  0.8932  0.1824  2 O 1.89-1.99, 2 F 2.05-2.09
Co  0.5879  0.0099  0.4871  1 O 1.91, 2 F 2.04-2.13
O  0.3814  0.1401  0.3248  3 Co 1.89-1.92
O  0.7128  0.7990  0.9991  3 Co 1.95-1.99, 1 Mg 1.96
F  0.1785  0.7251  0.8415  2 Co 2.11-2.13, 1 Mg 2.15
F  0.1920  0.7192  0.1353  1 Mg 2.06, 2 Co 2.07-2.09
F  0.2039  0.6024  0.5040  2 Co 1.95-2.03
F  0.3056  0.1766  0.9846  1 Mg 1.97, 2 Co 2.12-2.18
F  0.3641  0.1636  0.6743  3 Co 2.01-2.16
F  0.7231  0.7460  0.6572  3 Co 2.01-2.13
F  0.7610  0.7088  0.3367  3 Co 2.05-2.17
F  0.8754  0.2706  0.8402  2 Co 2.07-2.11, 1 Mg 2.07
F  0.8771  0.2296  0.5085  3 Co 2.04-2.15
F  0.8911  0.2661  0.1509  1 Mg 1.98, 2 Co 2.03-2.16

Computed properties:
Its formation energy is -2.152 eV/atom. The excess energy over the best structure of this formula in the dataset is 23 meV/atom. The total energy is -5.177 eV per atom. Its symmetry is P1. The value obtained for the total magnetization is 0.95 μB per atom.



6.
MgCo6O7F5 | PBE+U | relaxed

a b c (Å): 5.8269 5.9047 7.6055
angles (deg): 99.54 105.67 115.63
With the nearest neighbours (Å) after each atom.
Fractional positions:
Mg  0.0000  0.0000  0.0000  4 F 1.99-2.05, 2 O 2.03
Co  0.0002  0.5007  0.9994  4 O 1.90-1.96
Co  0.0870  0.8062  0.3931  4 O 1.81-2.01
Co  0.4571  0.8367  0.8108  3 O 1.84-1.94, 2 F 2.00-2.03
Co  0.4734  0.4709  0.5024  3 O 1.90-2.09, 1 F 1.99
Co  0.5456  0.1694  0.1898  3 O 1.84-1.96, 2 F 2.01-2.04
Co  0.9227  0.2015  0.6073  4 O 1.81-2.02
O  0.1737  0.5374  0.8191  3 Co 1.85-1.96
O  0.1761  0.1652  0.5084  3 Co 1.90-1.93
O  0.2085  0.8672  0.1739  3 Co 1.96-2.01, 1 Mg 2.03
O  0.3047  0.7133  0.5449  2 Co 1.81-1.84
O  0.6777  0.2685  0.4554  2 Co 1.81-1.84
O  0.7938  0.1327  0.8242  3 Co 1.94-2.02, 1 Mg 2.03
O  0.8345  0.4680  0.1840  3 Co 1.86-1.96
F  0.2741  0.3611  0.1901  1 Mg 1.99, 1 Co 2.18
F  0.3188  0.0741  0.9102  2 Co 2.01-2.03, 1 Mg 2.05
F  0.6839  0.9304  0.0898  2 Co 2.00-2.04, 1 Mg 2.04
F  0.7282  0.6345  0.8124  1 Mg 2.00, 1 Co 2.19
F  0.7784  0.7860  0.4878  3 Co 1.99-2.15

Computed properties:
Its formation energy is -1.713 eV/atom. The excess energy over the best structure of this formula in the dataset is 4 meV/atom. The total energy is -5.476 eV per atom. Its symmetry is P1. The value obtained for the total magnetization is 0.89 μB per atom.



7.
MgCo6O7F5 | PBE+U | relaxed

a b c (Å): 5.7079 5.9165 7.4640
angles (deg): 106.42 97.64 115.07
With the nearest neighbours (Å) after each atom.
Fractional positions:
Mg  0.0000  0.0000  0.0000  2 F 1.95, 3 O 2.08-2.17
Co  0.3098  0.5313  0.3342  3 O 1.85-1.95, 2 F 1.97-2.01
Co  0.3408  0.8999  0.7588  2 O 1.78-1.97
Co  0.6163  0.0370  0.1800  4 O 1.88-2.00, 1 F 2.03
Co  0.6753  0.5043  0.6385  3 O 1.99-2.11, 3 F 2.01-2.12
Co  0.9604  0.0824  0.5406  3 O 1.82-1.99
Co  0.9739  0.4841  0.9770  3 O 1.88-1.96, 3 F 1.90-2.09
O  0.0100  0.1860  0.3022  3 Co 1.95-2.06
O  0.2561  0.8338  0.9978  3 Co 1.94-2.01, 1 Mg 2.08
O  0.4028  0.6535  0.6040  2 Co 1.78-1.85
O  0.6030  0.8541  0.3507  3 Co 1.88-1.95
O  0.7041  0.1349  0.9639  3 Co 1.92-2.02
O  0.9151  0.3435  0.7056  2 Co 1.82-1.88
O  0.9800  0.8695  0.7002  3 Co 1.97-1.99, 1 Mg 2.12
F  0.0453  0.6500  0.2505  2 Co 1.90-2.01
F  0.2597  0.3718  0.0519  1 Mg 1.95, 2 Co 1.97-2.07
F  0.3564  0.1556  0.6131  3 Co 2.03-2.08
F  0.5776  0.3486  0.3457  3 Co 2.01-2.22
F  0.7097  0.6374  0.9404  1 Mg 1.95, 2 Co 2.09-2.12

Computed properties:
Its formation energy is -1.701 eV/atom. The excess energy over the best structure of this formula in the dataset is 16 meV/atom. The total energy is -5.465 eV per atom. Its symmetry is P1. The value obtained for the total magnetization is 0.89 μB per atom.



8.
MgCo6O6F6 | PBE+U | relaxed

a b c (Å): 4.9636 8.7156 5.0182
angles (deg): 90.00 99.32 90.00
With the nearest neighbours (Å) after each atom.
Fractional positions:
Mg  0.0000  0.0000  0.0000  3 F 1.93-1.99, 3 O 2.10-2.14
Co  0.1054  0.5000  0.3183  3 O 1.82-1.91
Co  0.4835  0.0000  0.9054  3 O 1.87-1.89, 3 F 1.95-2.04
Co  0.5580  0.3347  0.9576  3 O 1.87-1.93, 2 F 2.01-2.03
Co  0.5580  0.6653  0.9576  3 O 1.87-1.93, 2 F 2.01-2.03
Co  0.9467  0.1883  0.5293  3 O 1.92-2.00, 1 F 2.04
Co  0.9467  0.8117  0.5293  3 O 1.92-2.00, 1 F 2.04
O  0.1656  0.0000  0.6416  3 Co 1.89-2.00, 1 Mg 2.10
O  0.3827  0.5000  0.1204  3 Co 1.82-1.93
O  0.7028  0.1564  0.8002  3 Co 1.87-1.98
O  0.7028  0.8436  0.8002  3 Co 1.87-1.98
O  0.8532  0.3337  0.2406  3 Co 1.87-1.92
O  0.8532  0.6663  0.2406  3 Co 1.87-1.92
F  0.2550  0.3427  0.6390  3 Co 2.01-2.15
F  0.2550  0.6573  0.6390  3 Co 2.01-2.15
F  0.2968  0.1536  0.0906  1 Co 1.95, 1 Mg 1.99
F  0.2968  0.8464  0.0906  1 Co 1.95, 1 Mg 1.99
F  0.7407  0.5000  0.7656  2 Co 2.03
F  0.7519  0.0000  0.2598  1 Mg 1.93, 1 Co 2.04

Computed properties:
Its formation energy is -1.736 eV/atom. The excess energy over the best structure of this formula in the dataset is 86 meV/atom. The total energy is -5.352 eV per atom. Its symmetry is Pm. The value obtained for the total magnetization is 0.74 μB per atom.